A plane-wave DFT calculation with meta-GGA r2SCAN was carried out for an optimized crystal structure of PrNi2Ge2.

```
5
Lattice="-1.4009 0.0615 -3.9009 1.5804 -3.7805 -0.6272 -4.3135 -0.1526 3.7492" Properties=species:S:1:pos:R:3 pbc="T T T"
Ge -1.0464 -2.4007 -1.8646
Ge -3.0877 -1.4709 1.0857
Pr 0.0000 0.0000 0.0000
Ni -2.8124 -0.9753 -1.2079
Ni -1.3217 -2.8963 0.4290
```

Output
- space group = No. 139
- volume (Å³ per atom) = 16.87
- formation enthalpy at 0 K (eV/f.u.) = -3.50